1.
Compound: Tl2Ge2O7
Source: Materials Project
Functional: meta-GGA r2SCAN
Structure: optimized geometry

abc: 7.020 7.020 7.020
angles: 60.00 60.00 60.00
Sites, in units of the cell vectors:
O 0.301 0.301 0.699
O 0.000 0.000 0.000
O 0.551 0.551 0.949
O 0.949 0.949 0.551
O 0.551 0.949 0.949
O 0.301 0.699 0.301
O 0.551 0.949 0.551
O 0.301 0.699 0.699
O 0.949 0.551 0.949
O 0.699 0.699 0.301
O 0.699 0.301 0.301
O 0.250 0.250 0.250
O 0.699 0.301 0.699
O 0.949 0.551 0.551
Ge 0.625 0.125 0.625
Ge 0.625 0.625 0.125
Ge 0.625 0.625 0.625
Ge 0.125 0.625 0.625
Tl 0.125 0.125 0.125
Tl 0.625 0.125 0.125
Tl 0.125 0.625 0.125
Tl 0.125 0.125 0.625

Symmetry = No. 227
Volume = 244.64 Å³/cell
VASP energy = -17.36 eV/atom

***

2.
Compound: K3GeS3
Source: Materials Project
Functional: meta-GGA r2SCAN
Structure: optimized geometry

abc: 7.581 7.581 8.199
angles: 104.78 104.78 109.88
Sites, in units of the cell vectors:
K 0.500 0.000 0.000
K 0.332 0.668 0.500
K 0.216 0.216 0.685
K 0.784 0.784 0.315
K 0.000 0.500 0.000
K 0.668 0.332 0.500
S 0.050 0.757 0.700
S 0.757 0.050 0.700
S 0.950 0.243 0.300
S 0.243 0.950 0.300
S 0.369 0.369 0.142
S 0.631 0.631 0.858
Ge 0.118 0.118 0.156
Ge 0.882 0.882 0.844

Symmetry = No. 12
Volume = 397.03 Å³/cell
VASP energy = -9.22 eV/atom

***

no.,energy relative to the elements (eV/atom)
1,-1.37
2,-1.21